(1)
The following is a GGA-PBE calculation of a relaxed MoWSe2S2 crystal, from Materials Project.

The structure in extended XYZ format:
```
12
Lattice="3.257 0.000 0.000 -1.628 2.821 0.000 0.000 0.000 36.507" Properties=species:S:1:pos:R:3 pbc="T T T"
Mo 0.000 0.000 0.000
Mo 0.000 0.000 13.718
W 0.000 1.880 6.859
W 0.000 1.880 20.578
Se 0.000 0.000 18.867
Se 0.000 0.000 22.287
Se 0.000 1.880 12.017
Se 0.000 1.880 15.415
S 0.000 0.000 5.307
S 0.000 0.000 8.410
S 0.000 1.880 1.546
S 0.000 1.880 34.960
```

## Properties
The energy above the most stable polymorph in this dataset is 18 meV per atom. The calculation puts the formation energy at -882 meV per atom. Its mass density is 4969 kg/m3. The value obtained for the magnetic moment is 0.000 μB per atom.

***

(2)
The following is a GGA-PBE calculation of a relaxed MoWSe2S2 crystal, from Materials Project.

The structure in extended XYZ format:
```
12
Lattice="3.254 0.000 0.000 -1.627 2.818 0.000 0.000 0.000 36.892" Properties=species:S:1:pos:R:3 pbc="T T T"
Mo 0.000 0.000 0.000
Mo 0.000 0.000 13.863
W 0.000 1.879 6.930
W 0.000 1.879 20.793
Se 0.000 0.000 5.222
Se 0.000 0.000 8.639
Se 0.000 1.879 12.166
Se 0.000 1.879 15.560
S 0.000 0.000 19.244
S 0.000 0.000 22.343
S 0.000 1.879 1.545
S 0.000 1.879 35.347
```

## Properties
The energy above the most stable polymorph in this dataset is 17 meV per atom. The calculation puts the formation energy at -882 meV per atom. Its mass density is 4927 kg/m3. The value obtained for the magnetic moment is 0.000 μB per atom.